DFT (PBE) results for Sr3Y2N4 after structural relaxation.

CIF file:
```
data_Sr3Y2N4
_chemical_formula_sum 'Sr12 Y8 N16'
_cell_length_a 11.051
_cell_length_b 10.571
_cell_length_c 6.648
_cell_angle_alpha 90.00
_cell_angle_beta 91.37
_cell_angle_gamma 90.00
_space_group_name_H-M_alt 'C 1 2/c 1'
_space_group_IT_number 15
_space_group_name_Hall '-C 2yc'
loop_
_atom_site_label
_atom_site_type_symbol
_atom_site_fract_x
_atom_site_fract_y
_atom_site_fract_z
Sr1 Sr 0.000 0.083 0.250
Sr2 Sr 0.112 0.300 0.585
Y1 Y 0.246 0.106 0.911
N1 N 0.105 0.251 0.995
N2 N 0.200 0.078 0.573
```

Properties
calculated density: 4.249 g/cm3
energy above the lowest structure with this stoichiometry: 0.000 eV/f.u.
ΔH_f (0 K): -1058 meV/atom